No. 1
Crystalline Tb2ZnCu at its relaxed geometry. Source: Materials Project, functional meta-GGA r2SCAN.

Its volume is 21.607 A^3/atom. The calculation puts the raw total energy at -20.8673 eV per atom. Its formation energy is -315 meV/atom. Its crystal system is tetragonal.

abc: 3.5235 3.5235 6.9614
angles: 90.00 90.00 90.00
With the nearest neighbours (Å) after each atom.
Fractional positions:
Zn (0.0000, 0.0000, 0.5000)  8 Tb 3.07
Tb (0.5000, 0.5000, 0.2435)  4 Cu 3.01, 4 Zn 3.07
Tb (0.5000, 0.5000, 0.7565)  4 Cu 3.01, 4 Zn 3.07
Cu (0.0000, 0.0000, 0.0000)  8 Tb 3.01


No. 2
Crystalline Ho3Ni7B2 at its relaxed geometry. Source: Materials Project, functional meta-GGA r2SCAN.

Its volume is 12.873 A^3/atom. The calculation puts the raw total energy at -16.9550 eV per atom. Its formation energy is -521 meV/atom. Its crystal system is hexagonal.

abc: 5.0220 5.0220 14.1451
angles: 90.00 90.00 120.00
With the nearest neighbours (Å) after each atom.
Fractional positions:
Ni (0.1653, 0.8347, 0.1485)  2 B 2.03-2.05
Ni (0.1653, 0.3306, 0.1485)  2 B 2.03-2.05
B (0.6667, 0.3333, 0.7500)  6 Ni 2.05
Ni (0.8347, 0.1653, 0.8515)  2 B 2.03-2.05
Ho (0.3333, 0.6667, 0.7500)  12 Ni 2.89, 6 B 2.90, 2 Ho 3.08
Ho (0.6666, 0.3334, 0.4680)  12 Ni 2.93-3.00, 4 Ho 3.04-3.08
Ho (0.6666, 0.3334, 0.0320)  12 Ni 2.93-3.00, 4 Ho 3.04-3.08
Ni (0.0000, 0.0000, 0.5000)  6 Ni 2.55
Ni (0.3306, 0.1653, 0.6485)  2 B 2.03-2.05
Ni (0.3306, 0.1653, 0.8515)  2 B 2.03-2.05
Ni (0.6694, 0.8347, 0.3515)  2 B 2.03-2.05
Ho (0.3334, 0.6666, 0.5320)  12 Ni 2.93-3.00, 4 Ho 3.04-3.08
B (0.3333, 0.6667, 0.2500)  6 Ni 2.05
Ni (0.0000, 0.0000, 0.0000)  6 Ni 2.55
Ho (0.6667, 0.3333, 0.2500)  12 Ni 2.89, 6 B 2.90, 2 Ho 3.08
Ni (0.1653, 0.8347, 0.3515)  2 B 2.03-2.05
Ni (0.8347, 0.6694, 0.6485)  2 B 2.03-2.05
Ni (0.1653, 0.3306, 0.3515)  2 B 2.03-2.05
B (0.0000, 0.0000, 0.7500)  6 Ni 2.03
B (0.0000, 0.0000, 0.2500)  6 Ni 2.03
Ni (0.8347, 0.6694, 0.8515)  2 B 2.03-2.05
Ni (0.8347, 0.1653, 0.6485)  2 B 2.03-2.05
Ni (0.6694, 0.8347, 0.1485)  2 B 2.03-2.05
Ho (0.3334, 0.6666, 0.9680)  12 Ni 2.93-3.00, 4 Ho 3.04-3.08


No. 3
Crystalline Ba2As6O11 at its relaxed geometry. Source: Materials Project, functional meta-GGA r2SCAN.

Its volume is 16.890 A^3/atom. The calculation puts the raw total energy at -12.6823 eV per atom. Its formation energy is -1791 meV/atom. Its crystal system is triclinic.

abc: 5.2860 7.1170 9.0806
angles: 71.25 86.64 82.84
With the nearest neighbours (Å) after each atom.
Fractional positions:
O (0.4773, 0.0051, 0.6902)  2 As 1.79-1.90
As (0.7890, 0.6015, 0.1067)  3 O 1.70-1.86
Ba (0.7527, 0.7046, 0.5649)  10 O 2.74-3.02
O (0.2761, 0.6902, 0.4462)  1 As 1.70
O (0.9864, 0.0374, 0.3190)  2 As 1.81-1.87
O (0.8644, 0.6643, 0.2633)  1 As 1.70
Ba (0.2208, 0.3184, 0.4310)  8 O 2.75-2.97
O (0.3493, 0.6489, 0.8013)  2 As 1.78-1.86
O (0.9915, 0.9680, 0.7002)  2 As 1.81-1.89
O (0.1009, 0.4695, 0.0800)  2 As 1.83-1.84
O (0.0000, 0.4035, 0.8003)  1 As 1.70
As (0.7321, 0.1324, 0.1797)  3 O 1.80-1.81
As (0.2454, 0.4021, 0.9129)  3 O 1.70-1.86
O (0.7132, 0.3217, 0.5716)  1 As 1.70
O (0.6538, 0.3666, 0.2164)  2 As 1.80-1.86
As (0.2562, 0.8701, 0.2695)  3 O 1.70-1.90
O (0.4881, 0.0253, 0.3163)  2 As 1.80-1.90
As (0.7227, 0.1410, 0.7478)  3 O 1.70-1.90
As (0.2532, 0.8816, 0.8337)  3 O 1.78-1.81


No. 4
Crystalline Eu2MoO6 at its relaxed geometry. Source: Materials Project, functional meta-GGA r2SCAN.

Its volume is 13.420 A^3/atom. The calculation puts the raw total energy at -18.2334 eV per atom. Its formation energy is -2795 meV/atom. Its crystal system is monoclinic.

abc: 5.4349 10.0253 10.0253
angles: 68.19 75.41 75.41
With the nearest neighbours (Å) after each atom.
Fractional positions:
O (0.2690, 0.5219, 0.9349)  1 Mo 1.83
Mo (0.9381, 0.2019, 0.4900)  4 O 1.78-1.83
Mo (0.4381, 0.4900, 0.2019)  4 O 1.78-1.83
Mo (0.0619, 0.7981, 0.5100)  4 O 1.78-1.83
O (0.8619, 0.3833, 0.8283)  1 Mo 1.81
O (0.3630, 0.3208, 0.2159)  1 Mo 1.79
O (0.0846, 0.1623, 0.6884)  1 Mo 2.19, 3 Eu 2.27-2.34
O (0.0735, 0.8961, 0.9210)  4 Eu 2.24-2.40
O (0.4265, 0.0790, 0.1039)  4 Eu 2.24-2.40
O (0.9881, 0.3819, 0.4550)  1 Mo 1.78
O (0.9265, 0.1039, 0.0790)  4 Eu 2.24-2.40
Eu (0.3876, 0.9466, 0.7104)  5 O 2.24-2.45
O (0.5846, 0.6884, 0.1623)  1 Mo 2.19, 3 Eu 2.27-2.34
O (0.5119, 0.5450, 0.6181)  1 Mo 1.78
Eu (0.2500, 0.3669, 0.6331)  8 O 2.27-2.51
Eu (0.1124, 0.2896, 0.0534)  5 O 2.24-2.45
O (0.2310, 0.0651, 0.4781)  1 Mo 1.83
O (0.1370, 0.7841, 0.6792)  1 Mo 1.79
Eu (0.6124, 0.0534, 0.2896)  5 O 2.24-2.45
O (0.7310, 0.4781, 0.0651)  1 Mo 1.83
Eu (0.7500, 0.6331, 0.3669)  8 O 2.27-2.51
O (0.6381, 0.1717, 0.6167)  1 Mo 1.81
O (0.0119, 0.6181, 0.5450)  1 Mo 1.78
Mo (0.5619, 0.5100, 0.7981)  4 O 1.78-1.83
O (0.9154, 0.8377, 0.3116)  1 Mo 2.19, 3 Eu 2.27-2.34
O (0.6370, 0.6792, 0.7841)  1 Mo 1.79
Eu (0.2500, 0.8873, 0.1127)  6 O 2.32-2.40
O (0.7690, 0.9349, 0.5219)  1 Mo 1.83
O (0.1381, 0.6167, 0.1717)  1 Mo 1.81
Eu (0.7500, 0.1127, 0.8873)  6 O 2.32-2.40
O (0.3619, 0.8283, 0.3833)  1 Mo 1.81
O (0.4881, 0.4550, 0.3819)  1 Mo 1.78
O (0.4154, 0.3116, 0.8377)  1 Mo 2.19, 3 Eu 2.27-2.34
O (0.5735, 0.9210, 0.8961)  4 Eu 2.24-2.40
Eu (0.8876, 0.7104, 0.9466)  5 O 2.24-2.45
O (0.8630, 0.2159, 0.3208)  1 Mo 1.79


No. 5
Crystalline KFeP2O7 at its relaxed geometry. Source: Materials Project, functional meta-GGA r2SCAN.

Its volume is 13.208 A^3/atom. The calculation puts the raw total energy at -9.6323 eV per atom. Its formation energy is -2337 meV/atom. Its crystal system is monoclinic.

abc: 10.0452 7.3504 8.2100
angles: 73.48 90.00 90.00
With the nearest neighbours (Å) after each atom.
Fractional positions:
O (0.1074, 0.3215, 0.4860)  1 P 1.51
P (0.3620, 0.4428, 0.8082)  4 O 1.51-1.61
O (0.2157, 0.4528, 0.7582)  1 P 1.52
O (0.3926, 0.3215, 0.9860)  1 P 1.51
O (0.9382, 0.6582, 0.8159)  2 P 1.61
K (0.6777, 0.1771, 0.9463)  5 O 2.74-2.93
Fe (0.9009, 0.7648, 0.2612)  6 O 1.94-2.02
P (0.1380, 0.4428, 0.3082)  4 O 1.51-1.61
O (0.0618, 0.3418, 0.1841)  2 P 1.61
K (0.3223, 0.8229, 0.0537)  5 O 2.74-2.93
O (0.4933, 0.9973, 0.2221)  1 P 1.52
Fe (0.4009, 0.2352, 0.2388)  6 O 1.94-2.02
O (0.2843, 0.4528, 0.2582)  1 P 1.52
O (0.8926, 0.6785, 0.5140)  1 P 1.51
O (0.0067, 0.9973, 0.7221)  1 P 1.52
P (0.5964, 0.8665, 0.3306)  4 O 1.49-1.61
O (0.9933, 0.0027, 0.2779)  1 P 1.52
P (0.6380, 0.5572, 0.1918)  4 O 1.51-1.61
O (0.7157, 0.5472, 0.7418)  1 P 1.52
O (0.0809, 0.6412, 0.2678)  1 P 1.51
O (0.7843, 0.5472, 0.2418)  1 P 1.52
O (0.9191, 0.3588, 0.7322)  1 P 1.51
P (0.9036, 0.8665, 0.8306)  4 O 1.49-1.61
O (0.9095, 0.8562, 0.0148)  1 P 1.49
O (0.7661, 0.9200, 0.7545)  1 P 1.52
O (0.6074, 0.6785, 0.0140)  1 P 1.51
O (0.5067, 0.0027, 0.7779)  1 P 1.52
O (0.7339, 0.9200, 0.2545)  1 P 1.52
O (0.5809, 0.3588, 0.2322)  1 P 1.51
K (0.1777, 0.8229, 0.5537)  5 O 2.74-2.93
Fe (0.5991, 0.7648, 0.7612)  6 O 1.94-2.02
O (0.5905, 0.8562, 0.5148)  1 P 1.49
K (0.8223, 0.1771, 0.4463)  5 O 2.74-2.93
P (0.0964, 0.1335, 0.1694)  4 O 1.49-1.61
O (0.4095, 0.1438, 0.4852)  1 P 1.49
O (0.4191, 0.6412, 0.7678)  1 P 1.51
O (0.5618, 0.6582, 0.3159)  2 P 1.61
P (0.4036, 0.1335, 0.6694)  4 O 1.49-1.61
P (0.8620, 0.5572, 0.6918)  4 O 1.51-1.61
O (0.0905, 0.1438, 0.9852)  1 P 1.49
Fe (0.0991, 0.2352, 0.7388)  6 O 1.94-2.02
O (0.4382, 0.3418, 0.6841)  2 P 1.61
O (0.2339, 0.0800, 0.2455)  1 P 1.52
O (0.2661, 0.0800, 0.7455)  1 P 1.52


No. 6
Crystalline ThAlNi at its relaxed geometry. Source: Materials Project, functional meta-GGA r2SCAN.

Its volume is 19.296 A^3/atom. The calculation puts the raw total energy at -31.3355 eV per atom. Its formation energy is -606 meV/atom. Its crystal system is hexagonal.

abc: 7.0139 7.0139 4.0761
angles: 90.00 90.00 120.00
With the nearest neighbours (Å) after each atom.
Fractional positions:
Ni (0.0000, 0.0000, 0.5000)  6 Al 2.59
Th (0.4229, 0.0000, 0.5000)  5 Ni 2.92-2.97, 2 Al 3.19
Al (0.0000, 0.7722, 0.0000)  4 Ni 2.59-2.78, 2 Al 2.77
Al (0.2278, 0.2278, 0.0000)  4 Ni 2.59-2.78, 2 Al 2.77
Ni (0.6667, 0.3333, 0.0000)  3 Al 2.78, 6 Th 2.92
Th (0.5771, 0.5771, 0.5000)  5 Ni 2.92-2.97, 2 Al 3.19
Ni (0.3333, 0.6667, 0.0000)  3 Al 2.78, 6 Th 2.92
Th (0.0000, 0.4229, 0.5000)  5 Ni 2.92-2.97, 2 Al 3.19
Al (0.7722, 0.0000, 0.0000)  4 Ni 2.59-2.78, 2 Al 2.77


No. 7
Crystalline YbZnPd at its relaxed geometry. Source: Materials Project, functional meta-GGA r2SCAN.

Its volume is 18.564 A^3/atom. The calculation puts the raw total energy at -23.6118 eV per atom. Its formation energy is -812 meV/atom. Its crystal system is orthorhombic.

abc: 3.9547 6.9129 8.1486
angles: 90.00 90.00 90.00
With the nearest neighbours (Å) after each atom.
Fractional positions:
Zn (0.2500, 0.1256, 0.9367)  4 Pd 2.66-2.70, 2 Zn 2.83
Yb (0.7500, 0.4436, 0.8120)  5 Pd 2.83-2.90, 5 Zn 3.10-3.13
Zn (0.2500, 0.6256, 0.5633)  4 Pd 2.66-2.70, 2 Zn 2.83
Zn (0.7500, 0.8744, 0.0633)  4 Pd 2.66-2.70, 2 Zn 2.83
Pd (0.7500, 0.2590, 0.1225)  4 Zn 2.66-2.70, 5 Yb 2.83-2.90
Zn (0.7500, 0.3744, 0.4367)  4 Pd 2.66-2.70, 2 Zn 2.83
Pd (0.7500, 0.7590, 0.3775)  4 Zn 2.66-2.70, 5 Yb 2.83-2.90
Yb (0.7500, 0.9436, 0.6880)  5 Pd 2.83-2.90, 5 Zn 3.10-3.13
Yb (0.2500, 0.0564, 0.3120)  5 Pd 2.83-2.90, 5 Zn 3.10-3.13
Yb (0.2500, 0.5564, 0.1880)  5 Pd 2.83-2.90, 5 Zn 3.10-3.13
Pd (0.2500, 0.7410, 0.8775)  4 Zn 2.66-2.70, 5 Yb 2.83-2.90
Pd (0.2500, 0.2410, 0.6225)  4 Zn 2.66-2.70, 5 Yb 2.83-2.90


No. 8
Crystalline Nd4S7 at its relaxed geometry. Source: Materials Project, functional meta-GGA r2SCAN.

Its volume is 23.162 A^3/atom. The calculation puts the raw total energy at -17.9343 eV per atom. Its formation energy is -2124 meV/atom. Its crystal system is tetragonal.

abc: 5.6191 5.6191 8.0692
angles: 90.00 90.00 90.00
With the nearest neighbours (Å) after each atom.
Fractional positions:
S (0.2529, 0.7471, 0.3640)  5 Nd 2.90-2.95
S (0.0000, 0.0000, 0.0000)  4 S 2.81, 4 Nd 2.93
S (0.0000, 0.5000, 0.0000)  2 S 2.81, 4 Nd 2.95
S (0.7471, 0.7471, 0.6360)  5 Nd 2.90-2.95
S (0.5000, 0.0000, 0.0000)  2 S 2.81, 4 Nd 2.95
Nd (0.2458, 0.2458, 0.2703)  8 S 2.90-2.95
Nd (0.7542, 0.2458, 0.7297)  8 S 2.90-2.95
Nd (0.7542, 0.7542, 0.2703)  8 S 2.90-2.95
Nd (0.2458, 0.7542, 0.7297)  8 S 2.90-2.95
S (0.7471, 0.2529, 0.3640)  5 Nd 2.90-2.95
S (0.2529, 0.2529, 0.6360)  5 Nd 2.90-2.95